A plane-wave DFT calculation with PBE+U was carried out for an optimized crystal structure of FeOF.

ρ (g cm⁻³): 4.3
E_form (eV/atom): -2.036
Magnetization (μB per formula unit): 5.00
Total DFT energy (no corrections) (Ry/atom): -0.4419

Unit cell a=9.490 b=3.096 c=14.229 alpha=90.00 beta=90.34 gamma=90.00
Space group Pm (No. 6)
Inequivalent atoms, fractional coordinates:
Fe: 0.000 0.000 0.000 (multiplicity 1)
Fe: 0.003 0.000 0.326 (multiplicity 1)
Fe: 0.009 0.000 0.661 (multiplicity 1)
Fe: 0.224 0.500 0.165 (multiplicity 1)
Fe: 0.251 0.500 0.517 (multiplicity 1)
Fe: 0.282 0.500 0.833 (multiplicity 1)
Fe: 0.495 0.000 0.663 (multiplicity 1)
Fe: 0.502 0.000 0.990 (multiplicity 1)
Fe: 0.511 0.000 0.334 (multiplicity 1)
Fe: 0.720 0.500 0.503 (multiplicity 1)
Fe: 0.746 0.500 0.187 (multiplicity 1)
Fe: 0.755 0.500 0.850 (multiplicity 1)
O: 0.093 0.500 0.604 (multiplicity 1)
O: 0.098 0.500 0.273 (multiplicity 1)
O: 0.145 0.000 0.098 (multiplicity 1)
O: 0.341 0.000 0.906 (multiplicity 1)
O: 0.345 0.000 0.564 (multiplicity 1)
O: 0.406 0.500 0.733 (multiplicity 1)
O: 0.585 0.500 0.268 (multiplicity 1)
O: 0.598 0.500 0.939 (multiplicity 1)
O: 0.601 0.500 0.608 (multiplicity 1)
O: 0.648 0.000 0.436 (multiplicity 1)
O: 0.844 0.000 0.236 (multiplicity 1)
O: 0.856 0.000 0.903 (multiplicity 1)
F: 0.094 0.500 0.934 (multiplicity 1)
F: 0.147 0.000 0.438 (multiplicity 1)
F: 0.147 0.000 0.772 (multiplicity 1)
F: 0.340 0.000 0.231 (multiplicity 1)
F: 0.391 0.500 0.396 (multiplicity 1)
F: 0.404 0.500 0.072 (multiplicity 1)
F: 0.652 0.000 0.104 (multiplicity 1)
F: 0.665 0.000 0.774 (multiplicity 1)
F: 0.846 0.000 0.569 (multiplicity 1)
F: 0.898 0.500 0.066 (multiplicity 1)
F: 0.902 0.500 0.733 (multiplicity 1)
F: 0.905 0.500 0.406 (multiplicity 1)